1.
! CsRbMo3O10, optimized geometry, DFT GGA+U; values from VASP
! Magnetization   0.00 μB/atom
! DFT formation energy   -31.58 eV per formula unit
! MP2020-corrected energy   -7.698 eV/atom
&SYSTEM
  ibrav = 0, nat = 30, ntyp = 4
/
ATOMIC_SPECIES
Cs 132.91 Cs.upf
Rb 85.47 Rb.upf
Mo 95.94 Mo.upf
O 16.00 O.upf
ATOMIC_POSITIONS angstrom
Cs 2.518 3.824 3.200
Cs 8.986 8.427 4.610
Rb 4.675 7.395 6.043
Rb 6.829 4.857 1.768
Mo 1.495 5.407 7.541
Mo 4.396 8.199 2.362
Mo 6.713 11.183 6.683
Mo 4.791 1.069 1.127
Mo 7.108 4.052 5.448
Mo 10.010 6.845 0.270
O 2.000 6.128 6.021
O 2.974 8.019 0.972
O 3.085 9.516 7.333
O 3.487 9.014 3.604
O 2.367 1.516 0.821
O 2.820 3.433 6.281
O 4.456 6.553 2.959
O 6.120 8.975 2.810
O 6.021 7.495 0.763
O 4.885 2.819 1.267
O 6.619 9.432 6.544
O 5.483 4.756 7.048
O 5.385 3.276 5.000
O 7.048 5.699 4.852
O 8.685 8.818 1.530
O 9.138 10.735 6.989
O 8.017 3.237 4.207
O 8.419 2.735 0.477
O 8.530 4.232 6.839
O 9.504 6.123 1.790
CELL_PARAMETERS angstrom
8.547 0.000 0.000
2.293 8.344 0.000
0.664 3.908 7.810

2.
! KRb2CrF6, optimized geometry, DFT GGA+U; values from VASP
! Magnetization   0.30 μB/atom
! DFT formation energy   -31.07 eV per formula unit
! MP2020-corrected energy   -5.528 eV/atom
&SYSTEM
  ibrav = 0, nat = 50, ntyp = 4
/
ATOMIC_SPECIES
K 39.10 K.upf
Rb 85.47 Rb.upf
Cr 52.00 Cr.upf
F 19.00 F.upf
ATOMIC_POSITIONS angstrom
K 0.000 0.000 0.000
K 5.776 3.277 0.000
K 3.727 -1.229 4.526
K 3.277 8.233 0.000
K 1.229 3.727 4.526
Rb 8.489 4.034 -2.476
Rb 4.034 5.519 -2.476
Rb 7.004 0.000 2.263
Rb 2.971 1.485 2.050
Rb -1.485 2.971 2.050
Rb 8.489 4.034 2.476
Rb 4.034 5.519 2.476
Rb 0.000 7.004 2.263
Rb 2.971 1.485 7.003
Rb -1.485 2.971 7.003
Cr 9.763 1.329 0.000
Cr 1.329 4.246 0.000
Cr 0.000 0.000 4.526
Cr 5.676 2.759 4.526
Cr -2.759 5.676 4.526
F 4.843 0.543 0.000
F 11.614 0.726 0.000
F 8.341 -2.792 2.559
F 4.213 -1.337 1.967
F 7.924 1.927 0.000
F 0.726 2.395 0.000
F 10.397 3.186 0.000
F 3.186 3.612 0.000
F 0.000 0.000 2.575
F 9.796 1.337 1.967
F 6.461 -2.161 4.526
F 7.887 5.247 0.000
F 1.927 6.085 0.000
F 5.247 6.122 0.000
F 5.667 2.792 2.559
F 1.337 4.213 1.967
F 1.757 0.882 4.526
F 5.077 0.919 4.526
F -0.882 1.757 4.526
F 0.543 9.166 0.000
F -2.792 5.667 2.559
F 0.000 0.000 6.477
F 3.818 3.393 4.526
F -3.393 3.818 4.526
F 6.278 4.609 4.526
F -0.919 5.077 4.526
F 2.792 8.341 2.559
F -1.337 9.796 1.967
F -4.609 6.278 4.526
F 2.161 6.461 4.526
CELL_PARAMETERS angstrom
-7.004 7.004 4.526
7.004 -7.004 4.526
7.004 7.004 -4.526

3.
! V2Cu3H2O9, optimized geometry, DFT GGA+U; values from VASP
! Magnetization   0.19 μB/atom
! DFT formation energy   -17.45 eV per formula unit
! MP2020-corrected energy   -6.202 eV/atom
&SYSTEM
  ibrav = 0, nat = 16, ntyp = 4
/
ATOMIC_SPECIES
V 50.94 V.upf
Cu 63.55 Cu.upf
H 1.01 H.upf
O 16.00 O.upf
ATOMIC_POSITIONS angstrom
V -0.220 0.000 1.785
V 9.984 0.000 5.559
Cu 2.169 1.417 3.672
Cu 2.169 -1.417 3.672
Cu 4.882 0.000 3.672
H 3.622 0.000 0.303
H 6.141 0.000 7.041
O 0.000 0.000 0.000
O 1.413 0.000 2.635
O 4.331 1.473 2.289
O 5.432 1.473 5.055
O 3.136 0.000 4.392
O 6.628 0.000 2.952
O 4.331 -1.473 2.289
O 5.432 -1.473 5.055
O 8.350 0.000 4.709
CELL_PARAMETERS angstrom
5.426 -2.834 0.000
5.426 2.834 0.000
-1.088 0.000 7.344

4.
! V2FeO6, optimized geometry, DFT GGA+U; values from VASP
! DFT formation energy   -19.77 eV per formula unit
! MP2020-corrected energy   -8.455 eV/atom
&SYSTEM
  ibrav = 0, nat = 18, ntyp = 3
/
ATOMIC_SPECIES
V 50.94 V.upf
Fe 55.84 Fe.upf
O 16.00 O.upf
ATOMIC_POSITIONS angstrom
V 2.505 1.463 2.575
V 4.036 4.224 5.288
V 5.467 2.599 1.398
V 6.998 5.361 4.111
Fe 3.321 0.768 6.085
Fe 6.182 6.056 0.601
O 2.603 4.422 4.230
O 4.024 5.540 6.396
O 2.598 0.752 4.087
O 3.937 2.735 6.069
O 2.558 0.306 1.309
O 3.947 2.529 2.347
O 5.556 4.294 4.339
O 6.945 6.518 5.377
O 5.566 4.089 0.616
O 6.904 6.071 2.598
O 5.479 1.284 0.290
O 6.900 2.402 2.456
CELL_PARAMETERS angstrom
5.934 0.000 0.000
1.738 6.607 0.000
1.831 0.217 6.686

5.
! Li3Mn2F7, optimized geometry, DFT GGA+U; values from VASP
! Magnetization   0.83 μB/atom
! Offset from the most stable computed form   4.9 meV per atom
! DFT formation energy   -36.11 eV per formula unit
! MP2020-corrected energy   -6.130 eV/atom
&SYSTEM
  ibrav = 0, nat = 48, ntyp = 3
/
ATOMIC_SPECIES
Li 6.94 Li.upf
Mn 54.94 Mn.upf
F 19.00 F.upf
ATOMIC_POSITIONS angstrom
Li -0.707 1.046 2.315
Li -3.239 4.391 6.113
Li 0.848 6.356 1.592
Li -1.685 9.956 5.390
Li -2.232 7.686 7.381
Li 0.301 8.626 3.583
Li 2.232 2.248 4.012
Li 4.765 3.189 0.215
Li 4.218 0.919 2.206
Li 1.686 4.518 6.003
Li 5.773 6.484 1.483
Li 3.240 9.828 5.281
Mn -1.356 6.346 4.675
Mn 1.177 9.965 0.878
Mn -1.046 2.406 4.898
Mn 1.487 3.031 1.101
Mn 1.047 7.844 6.495
Mn 3.579 8.468 2.697
Mn 1.357 0.909 6.718
Mn 3.889 4.528 2.920
F -2.162 1.369 3.569
F -4.694 4.068 7.366
F 0.616 1.155 0.543
F -1.917 4.282 4.341
F -0.435 6.916 2.908
F -2.968 9.395 6.706
F -2.614 6.213 6.294
F -0.082 10.099 2.496
F 0.472 2.383 3.152
F -2.061 3.054 6.950
F 1.903 7.938 1.509
F -0.630 8.374 5.307
F -0.489 0.494 5.732
F 2.043 4.944 1.935
F 0.490 5.931 5.661
F 3.023 10.381 1.863
F 3.163 2.501 2.289
F 0.630 2.937 6.086
F 4.594 7.820 0.646
F 2.062 8.491 4.444
F 2.615 0.776 5.100
F 5.148 4.661 1.302
F 5.501 1.479 0.889
F 2.968 3.958 4.687
F 4.450 6.593 3.254
F 1.918 9.719 7.052
F 7.227 6.807 0.229
F 4.695 9.505 4.027
CELL_PARAMETERS angstrom
7.599 0.000 0.000
0.000 10.874 0.000
-5.065 0.000 7.596

6.
! Li2V3WO8, optimized geometry, DFT GGA+U; values from VASP
! Magnetization   0.07 μB/atom
! Offset from the most stable computed form   0.0 meV per atom
! DFT formation energy   -33.94 eV per formula unit
! MP2020-corrected energy   -8.397 eV/atom
&SYSTEM
  ibrav = 0, nat = 28, ntyp = 4
/
ATOMIC_SPECIES
Li 6.94 Li.upf
V 50.94 V.upf
W 183.84 W.upf
O 16.00 O.upf
ATOMIC_POSITIONS angstrom
Li 1.845 0.000 0.632
Li 1.722 -0.009 4.326
Li 5.408 -0.009 5.592
Li 5.285 0.000 9.285
V 4.439 1.504 2.479
V 2.691 1.504 7.438
V 5.319 -0.055 0.000
V 2.685 -1.518 7.433
V 4.445 -1.518 2.484
V 3.565 -2.975 4.959
W 0.030 -0.004 7.435
W 7.100 -0.004 2.482
O 2.672 1.683 3.629
O -0.203 -0.005 3.657
O -1.715 -0.026 8.512
O 0.918 1.331 8.582
O 4.458 1.683 6.289
O 1.772 0.017 6.359
O 3.771 -0.002 1.306
O 6.212 1.331 1.335
O 3.359 -0.002 8.612
O 0.967 -1.397 8.612
O 5.357 0.017 3.558
O 2.725 -1.632 3.649
O 6.163 -1.397 1.305
O 8.845 -0.026 1.405
O 4.405 -1.632 6.269
O 7.333 -0.005 6.260
CELL_PARAMETERS angstrom
5.319 -3.023 0.000
5.319 3.023 0.000
-3.507 0.000 9.917

7.
! Mg3Co2Ge3O12, optimized geometry, DFT GGA+U; values from VASP
! DFT formation energy   -43.36 eV per formula unit
! MP2020-corrected energy   -6.781 eV/atom
&SYSTEM
  ibrav = 0, nat = 80, ntyp = 4
/
ATOMIC_SPECIES
Mg 24.30 Mg.upf
Co 58.93 Co.upf
Ge 72.64 Ge.upf
O 16.00 O.upf
ATOMIC_POSITIONS angstrom
Mg 2.967 1.483 0.000
Mg 5.933 2.967 -1.483
Mg 1.483 0.000 2.967
Mg 7.416 0.000 2.967
Mg 0.000 2.967 1.483
Mg 2.967 -1.483 5.933
Mg 2.967 7.416 0.000
Mg 5.933 2.967 4.450
Mg -1.483 5.933 2.967
Mg 4.450 5.933 2.967
Mg 0.000 2.967 7.416
Mg 2.967 4.450 5.933
Co 0.000 0.000 0.000
Co 2.967 2.967 -2.967
Co 2.967 -2.967 2.967
Co 5.933 0.000 0.000
Co -2.967 2.967 2.967
Co 0.000 5.933 0.000
Co 0.000 0.000 5.933
Co 2.967 2.967 2.967
Ge 8.900 1.483 0.000
Ge 5.933 -2.967 4.450
Ge 4.450 5.933 -2.967
Ge 4.450 0.000 2.967
Ge 2.967 4.450 0.000
Ge 5.933 2.967 1.483
Ge 0.000 2.967 4.450
Ge 2.967 1.483 5.933
Ge 1.483 5.933 2.967
Ge 1.483 0.000 8.900
Ge 0.000 8.900 1.483
Ge -2.967 4.450 5.933
O 1.795 -0.308 0.635
O 7.105 3.602 -3.275
O 7.728 0.308 0.635
O 7.105 -2.331 3.275
O 5.625 -0.635 1.795
O 9.208 -1.172 2.331
O 0.635 1.795 -0.308
O 8.264 2.658 -1.172
O 3.602 3.275 -1.172
O 5.298 1.795 0.308
O -0.308 0.635 1.795
O 3.275 -1.172 3.602
O 5.625 5.298 -1.795
O 3.275 1.172 2.331
O 3.602 -3.275 7.105
O 5.298 -1.795 5.625
O 2.331 3.275 1.172
O 6.568 4.138 0.308
O 3.275 7.105 -2.331
O 5.625 0.635 4.138
O 1.795 5.625 -0.635
O 7.105 2.331 2.658
O 1.172 2.331 3.275
O 1.795 0.308 5.298
O 4.138 5.625 0.635
O 4.761 3.602 2.658
O -1.172 3.602 3.275
O 4.138 0.308 6.568
O 0.308 5.298 1.795
O 2.658 -1.172 8.264
O -0.635 1.795 5.625
O 3.602 2.658 4.761
O 0.635 7.728 0.308
O 2.331 9.208 -1.172
O 2.658 4.761 3.602
O 0.308 0.635 7.728
O 2.658 7.105 2.331
O 6.241 5.298 4.138
O 0.635 4.138 5.625
O 2.331 2.658 7.105
O -2.331 3.275 7.105
O 5.298 4.138 6.241
O -3.275 7.105 3.602
O 0.308 6.568 4.138
O -1.172 8.264 2.658
O -1.795 5.625 5.298
O -1.172 2.331 9.208
O 4.138 6.241 5.298
CELL_PARAMETERS angstrom
-5.933 5.933 5.933
5.933 -5.933 5.933
5.933 5.933 -5.933

8.
! NaCaZrWO6, optimized geometry, DFT GGA+U; values from VASP
! Magnetization   0.10 μB/atom
! DFT formation energy   -28.04 eV per formula unit
! MP2020-corrected energy   -8.256 eV/atom
&SYSTEM
  ibrav = 0, nat = 10, ntyp = 5
/
ATOMIC_SPECIES
Na 22.99 Na.upf
Ca 40.08 Ca.upf
Zr 91.22 Zr.upf
W 183.84 W.upf
O 16.00 O.upf
ATOMIC_POSITIONS angstrom
Na 0.000 0.000 0.000
Ca 4.069 4.069 4.069
Zr 6.103 6.103 6.103
W 2.034 2.034 2.034
O 2.034 2.034 0.057
O 2.034 0.057 2.034
O 4.011 2.034 2.034
O 0.057 2.034 2.034
O 2.034 4.011 2.034
O 2.034 2.034 4.011
CELL_PARAMETERS angstrom
0.000 4.069 4.069
4.069 0.000 4.069
4.069 4.069 0.000

Q: The highest DFT formation energy belongs to which entry?
A: V2Cu3H2O9